(1)
A relaxed structure of Si. Source: the Materials Project database, functional PBE-GGA.

Cell and atoms, written as POSCAR:
```
Si
1.0
-7.768 1.997 6.656
-2.283 9.846 2.542
-8.819 4.359 -3.441
Si
34
Cartesian
-9.435 8.101 2.878
-14.152 12.152 4.317
-7.353 6.314 2.243
-12.806 13.058 2.016
-15.226 9.595 3.831
-12.342 12.016 6.471
-8.361 10.659 3.365
-11.245 8.237 0.725
-10.781 7.195 5.180
-16.234 13.939 4.952
-11.189 11.423 1.748
-9.879 8.995 -0.984
-8.520 4.343 1.904
-6.056 6.411 4.159
-7.339 11.127 1.340
-6.943 10.237 5.146
-11.946 6.037 0.567
-13.320 8.374 3.347
-10.780 10.505 5.671
-9.767 5.288 0.165
-5.694 8.707 3.892
-12.784 6.064 2.751
-8.480 7.129 -0.800
-5.941 9.261 1.524
-8.712 9.483 6.478
-11.537 5.119 4.489
-9.074 7.187 6.744
-6.452 7.302 0.353
-12.398 8.830 5.447
-10.267 11.880 3.849
-12.806 9.748 1.525
-7.825 5.657 5.490
-9.358 4.370 4.087
-9.367 10.954 0.187
```

Values from the calculation:
Space group   Fd-3m
E above lowest polymorph   33 kJ/mol of formula units


(2)
A relaxed structure of CaP2HO8. Source: the Materials Project database, functional PBE-GGA.

Cell and atoms, written as POSCAR:
```
CaP2HO8
1.0
-4.709 2.634 2.087
-0.667 -3.471 -5.362
-0.837 -10.301 7.090
Ca P H O
2 4 2 16
Cartesian
-2.660 -3.779 2.577
-3.554 -7.359 1.238
-0.823 -7.043 2.823
-5.391 -4.095 0.992
-1.480 -2.062 -0.586
-4.734 -9.076 4.400
-3.551 -4.541 -2.395
-2.663 -6.596 6.209
-1.834 -0.734 0.117
-4.380 -10.404 3.698
-1.358 -8.370 2.216
-4.856 -2.768 1.599
-0.695 -7.288 4.349
-5.519 -3.850 -0.535
-2.182 -2.232 -1.945
-4.032 -8.906 5.760
-4.685 0.606 1.173
-1.529 -11.744 2.642
-1.876 -5.964 2.491
-4.338 -5.174 1.323
-4.131 -4.024 4.392
-2.083 -7.114 -0.578
-1.898 -3.170 0.381
-4.316 -7.967 3.434
```

Values from the calculation:
Space group   P-1
Magnetic moment   10.0 μB per cell
Electronic total energy   -5.95 eV/atom


(3)
A relaxed structure of TiSCl6O. Source: the Materials Project database, functional PBE-GGA.

Cell and atoms, written as POSCAR:
```
TiSCl6O
1.0
-10.989 -16.822 -9.016
3.223 1.105 -5.990
6.510 -3.816 -0.815
Ti S Cl O
4 4 24 4
Cartesian
-3.682 -9.638 -8.228
-4.369 -17.580 -11.870
3.113 -1.953 -3.951
2.426 -9.895 -7.592
0.198 -12.387 -11.543
-5.481 -14.190 -13.124
4.225 -5.343 -2.697
-1.454 -7.146 -4.278
1.378 -2.460 -2.656
0.898 -9.222 -9.033
0.888 -5.389 -8.502
-3.911 -16.336 -10.071
5.788 -4.779 -7.560
-3.677 -19.533 -11.116
-2.154 -10.310 -6.788
-7.043 -14.753 -8.260
2.422 0.001 -4.705
-2.144 -14.144 -7.319
1.413 -9.297 -5.706
2.655 -3.197 -5.750
-0.077 -5.603 -4.534
-5.135 -11.320 -7.997
1.504 -12.171 -7.366
3.879 -8.213 -7.824
-5.101 -13.043 -11.427
-2.634 -17.073 -13.164
-2.668 -10.235 -10.115
3.845 -6.489 -4.394
-6.696 -17.834 -11.015
-1.179 -13.930 -11.287
-2.760 -7.361 -8.455
5.440 -1.699 -4.805
4.081 -3.935 -3.070
1.191 -12.495 -10.473
-2.447 -7.037 -5.347
-5.337 -15.598 -12.751
```

Values from the calculation:
Space group   P2_1/c
E above lowest polymorph   1 kJ/mol of formula units
Magnetic moment   0.0 μB per cell


(4)
A relaxed structure of Mg6NbV. Source: the Materials Project database, functional PBE-GGA.

Cell and atoms, written as POSCAR:
```
Mg6NbV
1.0
5.007 0.000 0.000
0.000 6.019 0.000
0.000 0.000 10.879
Mg Nb V
12 2 2
Cartesian
2.503 1.516 4.556
2.503 4.503 4.556
0.000 4.505 0.967
0.000 1.514 0.967
0.000 0.000 3.534
0.000 3.009 3.528
2.503 4.525 9.996
2.503 1.493 9.996
0.000 1.496 6.406
0.000 4.523 6.406
0.000 3.009 8.974
0.000 0.000 8.967
2.503 3.009 1.829
2.503 0.000 7.269
2.503 0.000 1.821
2.503 3.009 7.260
```

Values from the calculation:
E above lowest polymorph   49 kJ/mol of formula units
Magnetic moment   4.3 μB per cell


(5)
A relaxed structure of Er2Ge2O7. Source: the Materials Project database, functional PBE-GGA.

Cell and atoms, written as POSCAR:
```
Er2Ge2O7
1.0
-4.702 4.353 -2.357
-4.939 -3.909 2.633
0.600 6.407 10.638
Er Ge O
8 8 28
Cartesian
-3.440 4.659 2.691
-5.463 3.665 10.669
-3.401 2.091 8.160
-7.091 0.122 1.997
-2.112 4.998 6.045
-6.575 6.941 9.050
-2.304 1.640 4.737
-5.778 3.287 0.308
-3.955 8.954 7.639
-4.928 -0.418 6.073
-4.591 -2.126 3.261
-5.656 4.111 7.019
-3.527 1.221 1.374
-5.802 2.851 3.965
-3.097 5.519 9.471
-4.608 7.291 4.856
-5.032 8.605 8.986
-3.763 0.880 6.302
-5.706 -1.677 1.977
-6.604 5.572 7.269
-2.490 0.710 2.700
-6.892 1.484 3.773
-2.096 5.936 8.087
-3.582 5.893 4.564
-7.170 5.181 10.786
-1.657 3.967 3.941
-7.620 1.934 0.293
-5.776 2.966 8.409
-3.350 2.978 1.000
-5.895 4.005 2.581
-3.061 3.752 9.839
-1.636 2.620 6.808
-4.299 7.536 6.602
-2.927 0.135 0.084
-6.414 3.513 5.512
-4.742 -0.685 4.313
-4.773 0.553 8.977
-4.847 5.646 9.546
-4.048 2.770 3.968
-5.282 1.255 1.399
-3.905 4.030 6.915
-4.422 4.660 -0.782
-4.709 6.318 1.950
-4.179 2.171 11.683
```

Values from the calculation:
Space group   P4_12_12
Largest piezoelectric modulus   0.113 C/m2
Electronic total energy   -7.46 eV/atom


(6)
A relaxed structure of CsUP2O8. Source: the Materials Project database, functional PBE-GGA.

Cell and atoms, written as POSCAR:
```
CsUP2O8
1.0
-1.416 3.523 4.177
-1.438 -6.548 5.036
7.417 -2.570 4.682
Cs U P O
2 2 4 16
Cartesian
3.767 -7.574 9.572
0.796 1.979 4.322
1.010 -2.994 4.775
3.552 -2.601 9.119
2.529 -4.750 6.771
2.034 -0.845 7.123
-1.961 -2.078 6.809
6.524 -3.517 7.085
3.102 -3.563 5.964
1.461 -2.032 7.930
1.050 -4.827 6.335
3.513 -0.768 7.559
4.860 -5.784 12.247
-0.297 0.188 1.647
2.689 -4.513 8.312
1.248 0.476 7.430
1.874 -1.082 5.582
3.315 -6.071 6.464
-0.772 -2.513 5.869
5.969 -4.661 6.152
5.335 -3.082 8.025
-1.407 -0.934 7.742
4.387 -3.968 10.555
0.175 -1.627 3.339
```

Values from the calculation:
Space group   P2_1/m
Magnetic moment   2.0 μB per cell
Electronic total energy   -7.77 eV/atom


(7)
A relaxed structure of Hf2Al3Cu. Source: the Materials Project database, functional PBE-GGA.

Cell and atoms, written as POSCAR:
```
Hf2Al3Cu
1.0
4.424 -2.634 0.000
4.424 2.634 0.000
2.856 0.000 4.285
Hf Al Cu
2 3 1
Cartesian
1.455 0.000 0.533
10.250 0.000 3.752
3.640 1.317 2.142
4.424 0.000 0.000
3.640 -1.317 2.142
5.852 0.000 2.142
```

Values from the calculation:
Space group   R-3m
Electronic total energy   -6.32 eV/atom


(8)
A relaxed structure of Er5Sb3. Source: the Materials Project database, functional PBE-GGA.

Cell and atoms, written as POSCAR:
```
Er5Sb3
1.0
8.083 0.000 0.000
0.000 9.236 0.000
0.000 0.000 11.780
Er Sb
20 12
Cartesian
5.443 6.927 3.206
2.495 5.151 5.102
6.839 2.309 9.316
1.547 8.703 10.992
2.495 8.703 5.102
5.588 4.085 6.677
6.536 4.085 0.788
7.880 6.927 5.841
1.244 6.927 2.464
2.640 2.309 8.573
3.839 2.309 0.049
6.536 0.533 0.788
1.547 5.151 10.992
0.203 2.309 5.939
2.798 6.927 8.354
5.588 0.533 6.677
4.244 6.927 11.731
6.681 6.927 9.096
5.285 2.309 3.426
1.402 2.309 2.684
0.767 2.309 11.513
7.552 4.532 3.848
3.510 9.150 2.042
0.531 9.150 7.932
3.510 4.705 2.042
4.808 6.927 6.157
3.275 2.309 5.623
4.573 4.532 9.737
0.531 4.705 7.932
7.316 6.927 0.267
4.573 0.086 9.737
7.552 0.086 3.848
```

Values from the calculation:
Space group   Pnma
E above lowest polymorph   6 kJ/mol of formula units


(9)
A relaxed structure of Na3GaSi3Sn3S3O24. Source: the Materials Project database, functional PBE-GGA.

Cell and atoms, written as POSCAR:
```
Na3GaSi3Sn3S3O24
1.0
8.817 -0.008 -0.013
-4.415 7.696 0.022
-0.034 0.045 22.804
Na Ga Si Sn S O
9 3 9 9 9 72
Cartesian
1.575 2.787 5.587
2.828 4.847 17.182
7.241 2.258 9.507
8.748 0.058 11.311
-4.371 7.623 0.114
4.325 2.650 18.945
4.431 2.479 7.533
-0.134 5.061 3.745
-0.201 5.026 15.221
8.622 0.173 8.059
4.480 2.701 15.709
4.574 2.700 4.090
7.410 2.255 5.697
1.334 2.254 17.091
-3.135 5.489 17.070
6.924 2.584 13.333
5.708 4.857 1.917
1.916 2.546 2.024
2.542 5.219 20.883
1.273 7.321 9.509
1.318 2.834 9.471
-4.373 7.667 19.421
0.019 0.133 14.773
0.045 0.069 3.342
4.253 2.779 22.436
4.400 2.464 10.953
0.095 5.058 0.561
0.003 5.040 11.818
0.021 5.112 7.209
-0.059 5.066 18.559
-1.865 7.675 5.786
3.154 5.503 5.745
6.197 0.064 17.090
3.116 0.318 13.331
3.118 4.833 13.340
5.659 0.374 1.890
-1.358 2.871 20.932
-1.275 7.418 20.948
-2.635 5.207 9.505
1.668 0.151 6.934
3.719 6.145 6.939
7.682 1.431 7.077
1.055 1.396 18.465
4.882 6.048 18.371
7.009 0.303 18.309
2.617 7.445 15.922
0.539 1.706 15.796
-3.405 6.394 15.742
3.378 6.287 4.502
-0.553 1.603 4.463
-2.638 7.416 4.529
5.947 2.758 14.602
3.659 0.977 14.526
3.326 4.035 14.567
5.566 3.922 3.210
5.082 0.973 3.091
2.820 2.711 3.380
2.705 2.212 0.625
5.101 4.262 0.520
5.463 1.163 0.639
3.287 1.129 12.088
3.676 4.205 12.120
6.126 2.395 11.899
1.589 5.452 22.180
-0.763 3.505 22.120
-1.069 6.577 22.138
0.983 6.471 10.879
0.465 3.442 10.740
-1.826 5.442 10.733
-1.780 4.865 8.322
0.516 6.731 8.191
1.138 3.717 8.099
-1.205 3.713 19.704
-0.747 6.795 19.700
1.670 4.995 19.506
-3.469 6.370 9.295
2.894 7.466 9.384
0.648 1.357 9.315
-0.689 1.562 20.766
-2.759 7.598 20.852
3.465 6.586 20.798
7.861 1.214 13.392
1.633 0.146 13.376
3.734 6.184 13.431
4.937 6.292 2.088
7.132 0.187 2.003
0.891 1.274 2.025
5.333 1.233 16.929
2.946 2.425 16.864
5.000 4.009 16.955
3.691 4.128 5.650
5.795 2.363 5.498
3.360 1.203 5.636
3.459 3.847 20.927
5.995 2.666 21.053
3.802 1.048 21.026
5.122 1.183 9.573
2.931 2.813 9.695
5.372 3.950 9.646
1.023 3.926 1.909
-1.484 5.078 1.743
0.610 6.725 1.797
-0.657 6.683 13.217
1.631 4.988 13.240
-0.958 3.969 13.233
-0.984 6.465 5.869
1.640 5.368 5.794
-0.627 3.762 5.828
0.730 3.799 17.214
-1.511 5.415 17.264
0.957 6.524 17.257
```

Values from the calculation:
Space group   P1
Magnetic moment   0.0 μB per cell
Electronic total energy   -6.33 eV/atom


(10)
A relaxed structure of InPd3. Source: the Materials Project database, functional PBE-GGA.

Cell and atoms, written as POSCAR:
```
InPd3
1.0
-2.086 2.086 3.801
2.086 -2.086 3.801
2.086 2.086 -3.801
In Pd
1 3
Cartesian
0.000 0.000 0.000
0.000 0.000 3.801
0.000 2.086 1.900
2.086 0.000 1.900
```

Values from the calculation:
Space group   I4/mmm
Electronic total energy   -5.03 eV/atom


Calculated mass density in order - 2.0 1.9 2.0 2.9 6.8 4.7 8.3 9.1 3.4 10.9 Mg/m³
Calculated volume in order - 24 204 262 164 145 199 100 220 516 66 Å³/f.u.